# 1
First-principles (PBE+U) data for a geometry-optimized LiNiP3O9 structure, as listed in Materials Project.

Computed properties:
Total magnetic moment   2.0 μB per formula unit
Corrected total energy (MP2020 scheme)   -412.15 eV per cell
Calculated density   2.5 g cm⁻³
Total energy   -6.74 eV/atom
Space-group type   Pbcm (57)

a b c (Å): 5.0844 11.9953 13.0177
angles (deg): 90.00 90.00 90.00
Closest atoms and distances in Å follow each position.
Element x y z (fractional)
1 Li 0.0171 0.9996 0.2500  2 O 2.02
2 Li 0.0171 0.5004 0.7500  2 O 2.02
3 Li 0.9829 0.0004 0.7500  2 O 2.02
4 Li 0.9829 0.4996 0.2500  2 O 2.02
5 Ni 0.0000 0.0000 0.0000  6 O 2.04-2.15
6 Ni 0.0000 0.0000 0.5000  6 O 2.04-2.15
7 Ni 0.0000 0.5000 0.0000  6 O 2.04-2.15
8 Ni 0.0000 0.5000 0.5000  6 O 2.04-2.15
9 P 0.2421 0.2500 0.0000  4 O 1.50-1.62
10 P 0.2421 0.2500 0.5000  4 O 1.50-1.62
11 P 0.4987 0.5844 0.1352  4 O 1.51-1.61
12 P 0.4987 0.5844 0.3648  4 O 1.51-1.61
13 P 0.4987 0.9156 0.6352  4 O 1.51-1.61
14 P 0.4987 0.9156 0.8648  4 O 1.51-1.61
15 P 0.5013 0.0844 0.1352  4 O 1.51-1.61
16 P 0.5013 0.0844 0.3648  4 O 1.51-1.61
17 P 0.5013 0.4156 0.6352  4 O 1.51-1.61
18 P 0.5013 0.4156 0.8648  4 O 1.51-1.61
19 P 0.7579 0.7500 0.0000  4 O 1.50-1.62
20 P 0.7579 0.7500 0.5000  4 O 1.50-1.62
21 O 0.0958 0.1563 0.5500  1 P 1.50
22 O 0.0958 0.1563 0.9500  1 P 1.50
23 O 0.0958 0.3437 0.0500  1 P 1.50
24 O 0.0958 0.3437 0.4500  1 P 1.50
25 O 0.2095 0.5560 0.1336  1 P 1.51
26 O 0.2095 0.5560 0.3664  1 P 1.51
27 O 0.2095 0.9440 0.6336  1 P 1.51
28 O 0.2095 0.9440 0.8664  1 P 1.51
29 O 0.3058 0.5037 0.6037  1 P 1.51
30 O 0.3058 0.5037 0.8963  1 P 1.51
31 O 0.3058 0.9963 0.1037  1 P 1.51
32 O 0.3058 0.9963 0.3963  1 P 1.51
33 O 0.4196 0.1215 0.2500  2 P 1.61
34 O 0.4196 0.3785 0.7500  2 P 1.61
35 O 0.4562 0.2009 0.0804  2 P 1.59-1.62
36 O 0.4562 0.2009 0.4196  2 P 1.59-1.62
37 O 0.4562 0.2991 0.5804  2 P 1.59-1.62
38 O 0.4562 0.2991 0.9196  2 P 1.59-1.62
39 O 0.5438 0.7009 0.0804  2 P 1.59-1.62
40 O 0.5438 0.7009 0.4196  2 P 1.59-1.62
41 O 0.5438 0.7991 0.5804  2 P 1.59-1.62
42 O 0.5438 0.7991 0.9196  2 P 1.59-1.62
43 O 0.5804 0.6215 0.2500  2 P 1.61
44 O 0.5804 0.8785 0.7500  2 P 1.61
45 O 0.6942 0.0037 0.6037  1 P 1.51
46 O 0.6942 0.0037 0.8963  1 P 1.51
47 O 0.6942 0.4963 0.1037  1 P 1.51
48 O 0.6942 0.4963 0.3963  1 P 1.51
49 O 0.7905 0.0560 0.1336  1 P 1.51
50 O 0.7905 0.0560 0.3664  1 P 1.51
51 O 0.7905 0.4440 0.6336  1 P 1.51
52 O 0.7905 0.4440 0.8664  1 P 1.51
53 O 0.9042 0.6563 0.5500  1 P 1.50
54 O 0.9042 0.6563 0.9500  1 P 1.50
55 O 0.9042 0.8437 0.0500  1 P 1.50
56 O 0.9042 0.8437 0.4500  1 P 1.50



# 2
First-principles (PBE+U) data for a geometry-optimized Fe10O9F11 structure, as listed in Materials Project.

Computed properties:
Total magnetic moment   49.0 μB per formula unit
Corrected total energy (MP2020 scheme)   -211.97 eV per cell
Calculated density   4.3 g cm⁻³
Total energy   -5.94 eV/atom
Space-group type   C2 (5)

a b c (Å): 4.8199 4.8199 15.3572
angles (deg): 90.22 90.22 94.70
Closest atoms and distances in Å follow each position.
Element x y z (fractional)
1 Fe 0.0000 0.0000 0.0000  2 O 1.99, 4 F 2.19
2 Fe 0.0070 0.0056 0.1968  2 O 1.93-1.95, 4 F 1.99-2.15
3 Fe 0.0211 0.0417 0.5960  2 O 1.90-1.94, 4 F 2.01-2.09
4 Fe 0.4837 0.4938 0.7097  3 O 1.89-2.00
5 Fe 0.4993 0.4980 0.9046  4 O 1.94-2.11, 2 F 2.11-2.12
6 Fe 0.5020 0.5007 0.0954  4 O 1.94-2.11, 2 F 2.11-2.12
7 Fe 0.5062 0.5163 0.2903  3 O 1.89-2.00
8 Fe 0.5394 0.4606 0.5000  3 O 1.94-1.95, 2 F 2.06
9 Fe 0.9583 0.9789 0.4040  2 O 1.90-1.94, 4 F 2.01-2.09
10 Fe 0.9944 0.9930 0.8032  2 O 1.93-1.95, 4 F 1.99-2.15
11 O 0.2909 0.2932 0.7996  3 Fe 1.89-2.10
12 O 0.3008 0.3024 0.2032  3 Fe 1.91-2.11
13 O 0.3045 0.3034 0.0003  3 Fe 1.94-1.99
14 O 0.3232 0.3217 0.5998  3 Fe 1.90-2.00
15 O 0.6783 0.6768 0.4002  3 Fe 1.90-2.00
16 O 0.6966 0.6955 0.9997  3 Fe 1.94-1.99
17 O 0.6976 0.6992 0.7968  3 Fe 1.91-2.11
18 O 0.7068 0.7091 0.2004  3 Fe 1.89-2.10
19 O 0.8132 0.1868 0.5000  3 Fe 1.94
20 F 0.1847 0.8096 0.3064  3 Fe 2.06-2.20
21 F 0.1888 0.8112 0.5000  2 Fe 2.05
22 F 0.1904 0.8153 0.6936  3 Fe 2.06-2.20
23 F 0.2005 0.7938 0.8924  3 Fe 1.99-2.19
24 F 0.2062 0.7995 0.1076  3 Fe 1.99-2.19
25 F 0.2945 0.2823 0.4011  3 Fe 2.06-2.25
26 F 0.7177 0.7055 0.5989  3 Fe 2.06-2.25
27 F 0.7941 0.1996 0.8924  3 Fe 1.99-2.19
28 F 0.8004 0.2059 0.1076  3 Fe 1.99-2.19
29 F 0.8060 0.1900 0.3044  3 Fe 2.01-2.23
30 F 0.8100 0.1940 0.6956  3 Fe 2.01-2.23



What E_form values result from the calculations? In sequence: -3336.1 -5951.1 kJ/mol of formula units.